A geometry-optimized Ti2Tl3P5S18 structure, computed with PBE.

a b c (Å): 12.0327 12.0327 20.9205
angles (deg): 106.14 106.14 30.95
Fractional positions:
Ti (0.2413, 0.7587, 0.5000)
Ti (0.4765, 0.9943, 0.7419)
Ti (0.7587, 0.2413, 0.0000)
Ti (0.9943, 0.4765, 0.2419)
Tl (0.3318, 0.5861, 0.6939)
Tl (0.5528, 0.6735, 0.8665)
Tl (0.5861, 0.3318, 0.1939)
Tl (0.6497, 0.9005, 0.5471)
Tl (0.6735, 0.5528, 0.3665)
Tl (0.9005, 0.6497, 0.0471)
P (0.0726, 0.9185, 0.3565)
P (0.1608, 0.3199, 0.3858)
P (0.2745, 0.4757, 0.5132)
P (0.3199, 0.1608, 0.8858)
P (0.3660, 0.8689, 0.6211)
P (0.4757, 0.2745, 0.0132)
P (0.7606, 0.9602, 0.7292)
P (0.8689, 0.3660, 0.1211)
P (0.9185, 0.0726, 0.8565)
P (0.9602, 0.7606, 0.2292)
S (0.9998, 0.8076, 0.1605)
S (0.0033, 0.0911, 0.7976)
S (0.0073, 0.7911, 0.4891)
S (0.0911, 0.0033, 0.2976)
S (0.0970, 0.9450, 0.9471)
S (0.1121, 0.9708, 0.6086)
S (0.1226, 0.2647, 0.1337)
S (0.1368, 0.2417, 0.4458)
S (0.1399, 0.2894, 0.7954)
S (0.2272, 0.4447, 0.2533)
S (0.2358, 0.4279, 0.5820)
S (0.2417, 0.1368, 0.9458)
S (0.2647, 0.1226, 0.6337)
S (0.2657, 0.3897, 0.9241)
S (0.2894, 0.1399, 0.2954)
S (0.3618, 0.6060, 0.3857)
S (0.3897, 0.2657, 0.4241)
S (0.4011, 0.5112, 0.0344)
S (0.4279, 0.2358, 0.0820)
S (0.4447, 0.2272, 0.7533)
S (0.5112, 0.4011, 0.5344)
S (0.5223, 0.6725, 0.5358)
S (0.5644, 0.7112, 0.7062)
S (0.6060, 0.3618, 0.8857)
S (0.6310, 0.8685, 0.8560)
S (0.6725, 0.5223, 0.0358)
S (0.7112, 0.5644, 0.2062)
S (0.7239, 0.8345, 0.2076)
S (0.7911, 0.0073, 0.9891)
S (0.8076, 0.9998, 0.6605)
S (0.8345, 0.7239, 0.7076)
S (0.8453, 0.9695, 0.3183)
S (0.8685, 0.6310, 0.3560)
S (0.9450, 0.0970, 0.4471)
S (0.9695, 0.8453, 0.8183)
S (0.9708, 0.1121, 0.1086)

VASP energy, eV/atom: -4.963
Magnetic moment, μB per atom: 0.00
DFT formation energy, eV per atom: -0.844

***

A geometry-optimized TmPS structure, computed with PBE.

a b c (Å): 5.2964 5.2494 16.5337
angles (deg): 90.00 90.00 90.00
Fractional positions:
Tm (0.0149, 0.2500, 0.1462)
Tm (0.0160, 0.7500, 0.3624)
Tm (0.4840, 0.2500, 0.8624)
Tm (0.4851, 0.7500, 0.6462)
Tm (0.5149, 0.2500, 0.3538)
Tm (0.5160, 0.7500, 0.1376)
Tm (0.9840, 0.2500, 0.6376)
Tm (0.9851, 0.7500, 0.8538)
P (0.2083, 0.5331, 0.9973)
P (0.2083, 0.9669, 0.9973)
P (0.2917, 0.0331, 0.4973)
P (0.2917, 0.4669, 0.4973)
P (0.7083, 0.5331, 0.5027)
P (0.7083, 0.9669, 0.5027)
P (0.7917, 0.0331, 0.0027)
P (0.7917, 0.4669, 0.0027)
S (0.0113, 0.2500, 0.3161)
S (0.0153, 0.7500, 0.1893)
S (0.4847, 0.2500, 0.6893)
S (0.4887, 0.7500, 0.8161)
S (0.5113, 0.2500, 0.1839)
S (0.5153, 0.7500, 0.3107)
S (0.9847, 0.2500, 0.8107)
S (0.9887, 0.7500, 0.6839)

VASP energy, eV/atom: -6.214
DFT formation energy, eV per atom: -1.706

***

A geometry-optimized U5PS4 structure, computed with PBE.

a b c (Å): 16.0190 16.0190 16.0190
angles (deg): 13.90 13.90 13.90
Fractional positions:
U (0.0000, 0.0000, 0.0000)
U (0.2001, 0.2001, 0.2001)
U (0.4000, 0.4000, 0.4000)
U (0.6000, 0.6000, 0.6000)
U (0.7999, 0.7999, 0.7999)
P (0.5000, 0.5000, 0.5000)
S (0.0997, 0.0997, 0.0997)
S (0.3000, 0.3000, 0.3000)
S (0.7000, 0.7000, 0.7000)
S (0.9003, 0.9003, 0.9003)

VASP energy, eV/atom: -9.142
Magnetic moment, μB per atom: 1.04
DFT formation energy, eV per atom: -1.502

***

A geometry-optimized U3P4S16 structure, computed with PBE.

a b c (Å): 12.1801 12.1801 12.1801
angles (deg): 126.52 126.52 79.03
Fractional positions:
U (0.0000, 0.0000, 0.0000)
U (0.0000, 0.5000, 0.5000)
U (0.2500, 0.2500, 0.0000)
U (0.5000, 0.0000, 0.5000)
U (0.5000, 0.5000, 0.0000)
U (0.7500, 0.7500, 0.0000)
P (0.3402, 0.1267, 0.7177)
P (0.3733, 0.1598, 0.2823)
P (0.3774, 0.6598, 0.7865)
P (0.4090, 0.6226, 0.2823)
P (0.8402, 0.1226, 0.2135)
P (0.8733, 0.5910, 0.2135)
P (0.8774, 0.0910, 0.7177)
P (0.9090, 0.6267, 0.7865)
S (0.0083, 0.7882, 0.0477)
S (0.0106, 0.4723, 0.2642)
S (0.0277, 0.4894, 0.7358)
S (0.0387, 0.2075, 0.3158)
S (0.0395, 0.9917, 0.7799)
S (0.2080, 0.7463, 0.7358)
S (0.2118, 0.2596, 0.2201)
S (0.2193, 0.5245, 0.1768)
S (0.2404, 0.2882, 0.7799)
S (0.2537, 0.9894, 0.4617)
S (0.2771, 0.9613, 0.1688)
S (0.2925, 0.4613, 0.6842)
S (0.3477, 0.0424, 0.8232)
S (0.3917, 0.7075, 0.1688)
S (0.4576, 0.1523, 0.1768)
S (0.4755, 0.6523, 0.6947)
S (0.5083, 0.4605, 0.2201)
S (0.5106, 0.2463, 0.5383)
S (0.5277, 0.7920, 0.5383)
S (0.5387, 0.2229, 0.8312)
S (0.5395, 0.7596, 0.0477)
S (0.7080, 0.9723, 0.4617)
S (0.7118, 0.4917, 0.9523)
S (0.7193, 0.5424, 0.6947)
S (0.7404, 0.9605, 0.9523)
S (0.7537, 0.2920, 0.2642)
S (0.7771, 0.6083, 0.3158)
S (0.7925, 0.1083, 0.8312)
S (0.8477, 0.0245, 0.3053)
S (0.8917, 0.7229, 0.6842)
S (0.9576, 0.7807, 0.3053)
S (0.9755, 0.2807, 0.8232)

VASP energy, eV/atom: -5.946
Magnetic moment, μB per atom: 0.26
DFT formation energy, eV per atom: -1.004